Version a
{"formula": "LiVGaO4", "functional": "PBE with a Hubbard U", "state": "optimized geometry", "lattice_angstrom": [[-5.8834, 0.0250, -0.0350], [0.0437, -3.4773, 4.7619], [0.0006, 6.9426, 5.0695]], "species": ["O", "Li", "Ga", "V", "O", "Li", "O", "O", "O", "O", "O", "V", "O", "V", "Ga", "O", "O", "O", "Li", "Li", "V", "O", "O", "Ga", "O", "O", "Ga", "O"], "fractional_positions": [[0.2420, 0.2210, 0.4936], [0.2498, 0.5000, 0.6342], [0.7504, 0.7503, 0.7501], [0.5000, 0.5000, 0.0000], [0.2583, 0.2787, 0.0064], [0.7502, 0.5000, 0.3658], [0.2579, 0.7790, 0.4937], [0.9753, 0.0085, 0.7326], [0.7417, 0.7213, 0.9936], [0.5249, 0.4919, 0.7678], [0.7584, 0.2788, 0.9939], [0.5001, 0.0001, 0.4999], [0.2416, 0.7212, 0.0061], [0.0000, 0.0001, 0.5000], [0.2501, 0.7500, 0.2500], [0.4750, 0.0083, 0.2674], [0.7580, 0.7790, 0.5064], [0.7421, 0.2210, 0.5063], [0.2500, 0.0001, 0.8663], [0.7500, 0.9999, 0.1337], [0.9999, 0.4999, 0.0000], [0.5251, 0.9917, 0.7326], [0.0247, 0.9915, 0.2674], [0.7499, 0.2500, 0.7500], [0.0252, 0.4917, 0.2325], [0.4752, 0.5081, 0.2322], [0.2496, 0.2497, 0.2498], [0.9747, 0.5082, 0.7675]], "magmom_total_mub_per_cell": 4.00}

---

Version b
{"formula": "LiVGaO4", "functional": "PBE with a Hubbard U", "state": "optimized geometry", "lattice_angstrom": [[5.9449, 0.0059, 0.0038], [-0.0004, -3.4971, 4.7899], [2.9671, -5.1577, -0.0954]], "species": ["O", "Ga", "V", "V", "O", "O", "O", "Li", "Ga", "O", "O", "O", "O", "Li"], "fractional_positions": [[0.2050, 0.7366, 0.5269], [0.0000, 0.0000, 0.5000], [0.0000, 0.5000, 0.0000], [0.5000, 0.5000, 0.0000], [0.7621, 0.7290, 0.9853], [0.7950, 0.2634, 0.4731], [0.2543, 0.2729, 0.4545], [0.3834, 0.1305, 0.7391], [0.0000, 0.5000, 0.5000], [0.2379, 0.2710, 0.0147], [0.7457, 0.7271, 0.5455], [0.2376, 0.7142, 0.0145], [0.7624, 0.2858, 0.9855], [0.6166, 0.8695, 0.2609]], "crystal_system": "monoclinic", "magmom_total_mub_per_cell": 2.00, "space_group": "No. 12"}

---

Most stable: version a

---

Version a
{"formula": "Sr4MgMn2Ga2O11", "functional": "PBE with a Hubbard U", "state": "optimized geometry", "lattice_angstrom": [[3.2663, -5.4918, 0.5160], [2.0887, 0.0470, -5.2828], [8.3791, 1.4680, 0.4149]], "species": ["Sr", "O", "Mn", "Ga", "Mg", "Sr", "O", "Mn", "O", "O", "O", "Ga", "Sr", "O", "O", "O", "O", "O", "O", "Sr"], "fractional_positions": [[0.5870, 0.2008, 0.7136], [0.0824, 0.9955, 0.4788], [0.2425, 0.2479, 0.4984], [0.5179, 0.4804, 0.0090], [0.3853, 0.7585, 0.6885], [0.9576, 0.3577, 0.2408], [0.6956, 0.1861, 0.9765], [0.8230, 0.7992, 0.4718], [0.1636, 0.0196, 0.7830], [0.9322, 0.4623, 0.5178], [0.6680, 0.7265, 0.7336], [0.9185, 0.9340, 0.9985], [0.3937, 0.8395, 0.2712], [0.7497, 0.6492, 0.0479], [0.3751, 0.5104, 0.5499], [0.5691, 0.0287, 0.4628], [0.3337, 0.4210, 0.2426], [0.9792, 0.8918, 0.2053], [0.2824, 0.4713, 0.9246], [0.9979, 0.5076, 0.7793]], "crystal_system": "triclinic", "magmom_total_mub_per_cell": 8.00, "space_group": "No. 1"}

---

Version b
{"formula": "Sr4MgMn2Ga2O11", "functional": "PBE with a Hubbard U", "state": "optimized geometry", "lattice_angstrom": [[-0.8769, -3.6629, 4.1638], [5.2962, -1.8668, -0.3438], [4.5201, 3.2073, 7.2940]], "species": ["O", "Sr", "Mn", "O", "O", "Mg", "O", "Mn", "O", "O", "Sr", "Sr", "Sr", "O", "O", "O", "Ga", "O", "Ga", "O"], "fractional_positions": [[0.0028, 0.0085, 0.4991], [0.4235, 0.9178, 0.1775], [0.7500, 0.7500, 0.5000], [0.2500, 0.2500, 0.0000], [0.9833, 0.4947, 0.5560], [0.2500, 0.7500, 0.5000], [0.5547, 0.6631, 0.7718], [0.2500, 0.2500, 0.5000], [0.3393, 0.4467, 0.2249], [0.4972, 0.4915, 0.5009], [0.0765, 0.5822, 0.8225], [0.6297, 0.1317, 0.7414], [0.8703, 0.3683, 0.2586], [0.7500, 0.2500, 0.0000], [0.9453, 0.8369, 0.2282], [0.5167, 0.0053, 0.4440], [0.5084, 0.4905, 0.9998], [0.7500, 0.7500, 0.0000], [0.9916, 0.0095, 0.0002], [0.1607, 0.0533, 0.7751]], "crystal_system": "triclinic", "magmom_total_mub_per_cell": 8.00, "space_group": "No. 2"}

---

Most stable: version a